Below is an optimized crystal structure of Al2O3, with properties calculated at the PBE-GGA level.

The structure in POSCAR format:
```
Al2O3
1.0
4.712 -0.326 -2.997
-3.519 5.012 -0.349
0.156 -0.866 18.711
Al O
16 24
Cartesian
0.119 -0.646 16.911 Al
-0.413 1.728 12.789 Al
4.585 -0.552 7.722 Al
2.376 -0.826 14.975 Al
1.076 3.824 10.330 Al
2.394 -0.519 12.207 Al
1.490 1.729 8.288 Al
-3.297 4.615 3.058 Al
1.089 2.137 5.079 Al
-1.400 4.193 8.782 Al
-2.889 4.620 5.768 Al
3.509 -0.179 4.933 Al
0.931 1.536 1.303 Al
-1.177 3.751 1.656 Al
0.613 1.994 15.901 Al
2.677 0.242 -0.817 Al
-1.951 3.292 13.280 O
3.503 0.274 11.012 O
-0.752 3.285 16.108 O
0.257 3.136 11.820 O
-2.324 3.531 7.331 O
1.060 0.189 15.621 O
0.228 1.037 7.251 O
0.262 3.223 8.814 O
0.821 0.395 12.446 O
0.699 2.511 14.191 O
0.316 3.612 5.896 O
1.632 3.170 -1.545 O
3.413 0.117 13.892 O
1.080 0.667 9.689 O
-0.857 1.787 1.607 O
-0.029 3.820 3.091 O
2.158 0.681 5.638 O
-2.205 3.451 10.462 O
-0.419 4.034 0.022 O
3.198 0.612 8.381 O
1.604 0.430 2.489 O
1.028 0.727 -0.359 O
1.861 3.052 1.311 O
-0.054 0.935 4.556 O
```

Results
**Formation enthalpy at 0 K**: -1555.2 kJ/mol of formula units